# 1
GdSn6Ru4: relaxed, r2SCAN.

```
data_GdSn6Ru4
_chemical_formula_sum 'Gd2 Sn12 Ru8'
_symmetry_space_group_name_H-M 'I -4 2 m'
_symmetry_Int_Tables_number 121
_symmetry_space_group_name_Hall 'I -4 2'
_cell_length_a 6.882
_cell_length_b 6.882
_cell_length_c 9.816
_cell_angle_alpha 90.00
_cell_angle_beta 90.00
_cell_angle_gamma 90.00
loop_
_atom_site_label
_atom_site_type_symbol
_atom_site_fract_x
_atom_site_fract_y
_atom_site_fract_z
_atom_site_occupancy
Gd1 Gd 0.000 0.000 0.000 1
Sn1 Sn 0.000 0.500 0.000 1
Sn2 Sn 0.175 0.175 0.706 1
Ru1 Ru 0.174 0.174 0.422 1
```

Properties
Formation energy from the elements in eV per atom: -0.33


# 2
ErInRh: relaxed, r2SCAN.

```
data_ErInRh
_chemical_formula_sum 'Er3 In3 Rh3'
_symmetry_space_group_name_H-M 'P -6 2 m'
_symmetry_Int_Tables_number 189
_symmetry_space_group_name_Hall 'P -6 -2'
_cell_length_a 7.4238
_cell_length_b 7.4238
_cell_length_c 3.8994
_cell_angle_alpha 90.00
_cell_angle_beta 90.00
_cell_angle_gamma 120.00
loop_
_atom_site_label
_atom_site_type_symbol
_atom_site_fract_x
_atom_site_fract_y
_atom_site_fract_z
_atom_site_occupancy
Er1 Er 0.0000 0.5944 0.0000 1
In1 In 0.0000 0.2576 0.5000 1
Rh1 Rh 0.0000 0.0000 0.0000 1
Rh2 Rh 0.3333 0.6667 0.5000 1
```

Properties
Formation energy from the elements in eV per atom: -0.85